Here is Na2ZnS2O12 after structural relaxation from the Materials Project database. Energies are from GGA-PBE.

a b c (Å): 5.5078 8.0748 11.8168
angles (deg): 90.00 92.45 90.00
With the nearest neighbours (Å) after each atom.
Space group P2_1/c (No. 14)
One atom of each set of equivalent atoms:
1 Na 0.1537 0.0338 0.3733 x4  5 O 2.36-2.60
2 Zn 0.0000 0.0000 0.0000 x2  4 O 2.01-2.06
3 S 0.3562 0.2175 0.6310 x4  4 O 1.46-1.56
4 O 0.0134 0.1630 0.7858 x4  1 O 1.31
5 O 0.0154 0.6938 0.6067 x4  1 O 1.31
6 O 0.2175 0.0871 0.5705 x4  1 S 1.47
7 O 0.2517 0.1145 0.1074 x4  1 S 1.49
8 O 0.3401 0.1860 0.7606 x4  1 S 1.56
9 O 0.3828 0.7128 0.8865 x4  1 S 1.46

## Properties
E (MP2020)   -182.249 eV for the cell shown
Energy relative to the elements   -1.15 eV/atom
E_tot   -5.247 eV per atom
Crystal system   monoclinic